Below is crystalline Th2S5 at its relaxed geometry, with properties calculated at the PBE level.

Its space-group type is Pbcn, No. 60. As for the energy of formation: -2.093 eV/atom. The calculation puts the raw total energy at -6.81 eV/atom.

Cell: 7.6285 7.6689 10.2317 Å, 90.00 90.00 90.00°
Last column: nearest neighbours and their distance in Å.
Element x y z (fractional)
S: 0.0000 0.2500 0.2473  4 Th 2.91-2.92
S: 0.5991 0.3504 0.1008  1 S 2.16
S: 0.5991 0.8504 0.8992  1 S 2.16
S: 0.8622 0.6116 0.1083  2 S 2.84-2.99, 4 Th 2.88-2.94
S: 0.3622 0.8884 0.6083  2 S 2.84-2.99, 4 Th 2.88-2.94
S: 0.9009 0.8504 0.3992  1 S 2.16
S: 0.0991 0.6496 0.3992  1 S 2.16
S: 0.5000 0.7500 0.2527  4 Th 2.91-2.92
S: 0.3622 0.3884 0.3917  2 S 2.84-2.99, 4 Th 2.88-2.94
S: 0.6378 0.6116 0.6083  2 S 2.84-2.99, 4 Th 2.88-2.94
S: 0.6378 0.1116 0.3917  2 S 2.84-2.99, 4 Th 2.88-2.94
S: 0.1378 0.8884 0.1083  2 S 2.84-2.99, 4 Th 2.88-2.94
S: 0.1378 0.3884 0.8917  2 S 2.84-2.99, 4 Th 2.88-2.94
S: 0.8622 0.1116 0.8917  2 S 2.84-2.99, 4 Th 2.88-2.94
S: 0.5000 0.2500 0.7473  4 Th 2.91-2.92
S: 0.4009 0.1496 0.1008  1 S 2.16
S: 0.9009 0.3504 0.6008  1 S 2.16
S: 0.4009 0.6496 0.8992  1 S 2.16
S: 0.0991 0.1496 0.6008  1 S 2.16
S: 0.0000 0.7500 0.7527  4 Th 2.91-2.92
Th: 0.2331 0.0198 0.8535  10 S 2.88-3.15
Th: 0.7669 0.9802 0.1465  10 S 2.88-3.15
Th: 0.7331 0.9802 0.6465  10 S 2.88-3.15
Th: 0.7669 0.4802 0.8535  10 S 2.88-3.15
Th: 0.2669 0.0198 0.3535  10 S 2.88-3.15
Th: 0.2331 0.5198 0.1465  10 S 2.88-3.15
Th: 0.7331 0.4802 0.3535  10 S 2.88-3.15
Th: 0.2669 0.5198 0.6465  10 S 2.88-3.15